1.
# NiCl2O6, optimized geometry, DFT PBE+U
data_NiCl2O6
_chemical_formula_sum 'Ni2 Cl4 O12'
_cell_length_a 5.6428
_cell_length_b 7.6968
_cell_length_c 8.0103
_cell_angle_alpha 90.00
_cell_angle_beta 112.04
_cell_angle_gamma 90.00
_space_group_name_H-M_alt 'P 1 21/c 1'
_space_group_IT_number 14
loop_
_space_group_symop_operation_xyz
'x,y,z'
'-x,-y,-z'
'-x,y+1/2,-z+1/2'
'x,-y+1/2,z+1/2'
loop_
_atom_site_label
_atom_site_fract_x
_atom_site_fract_y
_atom_site_fract_z
Ni1 0.0000 0.0000 0.0000
Cl1 0.1339 0.0095 0.7778
O1 0.1965 0.1942 0.0653
O2 0.2123 0.6868 0.5579
O3 0.4596 0.5050 0.9183
# Formation energy (eV/atom): 0.577
# E (MP2020) (eV for the cell shown): -67.95
# E above lowest polymorph (meV per atom): 449

***

2.
# NiCl2O6, optimized geometry, DFT PBE+U
data_NiCl2O6
_chemical_formula_sum 'Ni2 Cl4 O12'
_cell_length_a 10.2927
_cell_length_b 6.1365
_cell_length_c 5.7561
_cell_angle_alpha 90.00
_cell_angle_beta 120.20
_cell_angle_gamma 90.00
_space_group_name_H-M_alt 'C 1 2/m 1'
_space_group_IT_number 12
loop_
_space_group_symop_operation_xyz
'x,y,z'
'-x,-y,-z'
'-x,y,-z'
'x,-y,z'
'x+1/2,y+1/2,z'
'-x+1/2,-y+1/2,-z'
'-x+1/2,y+1/2,-z'
'x+1/2,-y+1/2,z'
loop_
_atom_site_label
_atom_site_fract_x
_atom_site_fract_y
_atom_site_fract_z
Ni1 0.0000 0.0000 0.0000
Cl1 0.1835 0.5000 0.0899
O1 0.0673 0.5000 0.5703
O2 0.0976 0.1914 0.2574
# Formation energy (eV/atom): 0.647
# E (MP2020) (eV for the cell shown): -66.68
# E above lowest polymorph (meV per atom): 519

***

3.
# NiCl2O6, optimized geometry, DFT PBE+U
data_NiCl2O6
_chemical_formula_sum 'Ni2 Cl4 O12'
_cell_length_a 10.8827
_cell_length_b 4.9871
_cell_length_c 5.9598
_cell_angle_alpha 90.00
_cell_angle_beta 123.08
_cell_angle_gamma 90.00
_space_group_name_H-M_alt 'C 1 2/m 1'
_space_group_IT_number 12
loop_
_space_group_symop_operation_xyz
'x,y,z'
'-x,-y,-z'
'-x,y,-z'
'x,-y,z'
'x+1/2,y+1/2,z'
'-x+1/2,-y+1/2,-z'
'-x+1/2,y+1/2,-z'
'x+1/2,-y+1/2,z'
loop_
_atom_site_label
_atom_site_fract_x
_atom_site_fract_y
_atom_site_fract_z
Ni1 0.0000 0.0000 0.0000
Cl1 0.2349 0.0000 0.4514
O1 0.0641 0.2742 0.8174
O2 0.0996 0.5000 0.9611
# Formation energy (eV/atom): 0.128
# E (MP2020) (eV for the cell shown): -76.02
# E above lowest polymorph (meV per atom): 0

***

4.
# YNi3Se2ClO8, optimized geometry, DFT PBE+U
data_YNi3Se2ClO8
_chemical_formula_sum 'Y2 Ni6 Se4 Cl2 O16'
_cell_length_a 6.4159
_cell_length_b 9.6364
_cell_length_c 7.1571
_cell_angle_alpha 90.00
_cell_angle_beta 90.00
_cell_angle_gamma 90.00
_space_group_name_H-M_alt 'P m m n'
_space_group_IT_number 59
loop_
_space_group_symop_operation_xyz
'x,y,z'
'-x,-y,-z'
'-x+1/2,-y+1/2,z'
'x+1/2,y+1/2,-z'
'x+1/2,-y,-z'
'-x+1/2,y,z'
'-x,y+1/2,-z'
'x,-y+1/2,z'
loop_
_atom_site_label
_atom_site_fract_x
_atom_site_fract_y
_atom_site_fract_z
Y1 0.2500 0.2500 0.2408
Ni1 0.0000 0.0000 0.5000
Ni2 0.2500 0.2500 0.7043
Se1 0.2500 0.5596 0.9057
Cl1 0.2500 0.7500 0.3577
O1 0.0388 0.5882 0.7596
O2 0.2500 0.1126 0.5018
O3 0.2500 0.1193 0.9247
# Formation energy (eV/atom): -1.645
# E (MP2020) (eV for the cell shown): -193.81

***

5.
# Ni7Te6Cl2O18, optimized geometry, DFT PBE+U
data_Ni7Te6Cl2O18
_chemical_formula_sum 'Ni21 Te18 Cl6 O54'
_cell_length_a 11.3005
_cell_length_b 11.3005
_cell_length_c 13.6235
_cell_angle_alpha 90.00
_cell_angle_beta 90.00
_cell_angle_gamma 120.00
_space_group_name_H-M_alt 'R -3'
_space_group_IT_number 148
_space_group_name_Hall '-R 3'
loop_
_atom_site_label
_atom_site_fract_x
_atom_site_fract_y
_atom_site_fract_z
Ni1 0.0000 0.0000 0.0000
Ni2 0.0567 0.1924 0.8234
Te1 0.0256 0.5634 0.2684
Cl1 0.0000 0.0000 0.2955
O1 0.0096 0.5688 0.4076
O2 0.0160 0.6103 0.9114
O3 0.0486 0.1631 0.0966
# Formation energy (eV/atom): -1.352
# E (MP2020) (eV for the cell shown): -590.10

***

6.
# Ni5Te4Cl2O12, optimized geometry, DFT PBE+U
data_Ni5Te4Cl2O12
_chemical_formula_sum 'Ni20 Te16 Cl8 O48'
_cell_length_a 19.8550
_cell_length_b 5.3106
_cell_length_c 16.4166
_cell_angle_alpha 90.00
_cell_angle_beta 125.09
_cell_angle_gamma 90.00
_space_group_name_H-M_alt 'C 1 2/c 1'
_space_group_IT_number 15
loop_
_space_group_symop_operation_xyz
'x,y,z'
'-x,-y,-z'
'-x,y,-z+1/2'
'x,-y,z+1/2'
'x+1/2,y+1/2,z'
'-x+1/2,-y+1/2,-z'
'-x+1/2,y+1/2,-z+1/2'
'x+1/2,-y+1/2,z+1/2'
loop_
_atom_site_label
_atom_site_fract_x
_atom_site_fract_y
_atom_site_fract_z
Ni1 0.0000 0.2403 0.2500
Ni2 0.0088 0.2180 0.6210
Ni3 0.0906 0.2137 0.4732
Te1 0.1256 0.3214 0.1380
Te2 0.1478 0.2900 0.8799
Cl1 0.2362 0.3137 0.5930
O1 0.0404 0.1658 0.1433
O2 0.0645 0.4910 0.3687
O3 0.0704 0.3779 0.5692
O4 0.0769 0.0121 0.8552
O5 0.0973 0.1486 0.0201
O6 0.1163 0.3363 0.7499
# Formation energy (eV/atom): -1.319
# E (MP2020) (eV for the cell shown): -539.54

***

7.
# VP2Cl7O4, optimized geometry, DFT PBE+U
data_VP2Cl7O4
_chemical_formula_sum 'V2 P4 Cl14 O8'
_cell_length_a 8.4126
_cell_length_b 8.5692
_cell_length_c 10.7481
_cell_angle_alpha 92.05
_cell_angle_beta 103.31
_cell_angle_gamma 105.71
_space_group_name_H-M_alt 'P -1'
_space_group_IT_number 2
loop_
_space_group_symop_operation_xyz
'x,y,z'
'-x,-y,-z'
loop_
_atom_site_label
_atom_site_fract_x
_atom_site_fract_y
_atom_site_fract_z
V1 0.1018 0.1521 0.3075
P1 0.1653 0.8538 0.4979
P2 0.2926 0.2462 0.8145
Cl1 0.0751 0.7511 0.8366
Cl2 0.1407 0.6689 0.3688
Cl3 0.1763 0.0188 0.1590
Cl4 0.2170 0.3665 0.9415
Cl5 0.3854 0.8696 0.6253
Cl6 0.3928 0.4150 0.7088
Cl7 0.4932 0.1869 0.9193
O1 0.0189 0.8030 0.5609
O2 0.1575 0.1065 0.7367
O3 0.1877 0.0110 0.4359
O4 0.2638 0.3101 0.3471
# Formation energy (eV/atom): -1.449
# E (MP2020) (eV for the cell shown): -145.87

***

8.
# Pb3WCl2O5, optimized geometry, DFT PBE+U
data_Pb3WCl2O5
_chemical_formula_sum 'Pb12 W4 Cl8 O20'
_cell_length_a 5.7242
_cell_length_b 13.2787
_cell_length_c 11.2794
_cell_angle_alpha 90.00
_cell_angle_beta 90.00
_cell_angle_gamma 90.00
_space_group_name_H-M_alt 'C m c m'
_space_group_IT_number 63
_space_group_name_Hall '-C 2c 2'
loop_
_atom_site_label
_atom_site_fract_x
_atom_site_fract_y
_atom_site_fract_z
Pb1 0.0000 0.0967 0.2500
Pb2 0.0000 0.3465 0.0323
W1 0.0000 0.2368 0.7500
Cl1 0.0000 0.0000 0.0000
Cl2 0.0000 0.4735 0.7500
O1 0.0000 0.1047 0.7500
O2 0.2332 0.2710 0.6303
# Formation energy (eV/atom): -1.723
# E (MP2020) (eV for the cell shown): -285.92